# 1
Below is Ce3Al6Pt4 after structural relaxation, with properties calculated at the GGA-PBE level.

abc: 13.938 4.300 17.477
angles: 90.00 90.00 90.00
Space group Pnma (No. 62)
Asymmetric unit:
1 Ce 0.074 0.250 0.152
2 Ce 0.132 0.750 0.694
3 Ce 0.197 0.750 0.470
4 Al 0.027 0.250 0.433
5 Al 0.040 0.750 0.308
6 Al 0.055 0.250 0.955
7 Al 0.173 0.750 0.869
8 Al 0.229 0.750 0.271
9 Al 0.248 0.750 0.106
10 Pt 0.074 0.250 0.573
11 Pt 0.087 0.250 0.810
12 Pt 0.124 0.750 0.008
13 Pt 0.148 0.250 0.322

---

# 2
Below is Ce2Al16Pt9 after structural relaxation, with properties calculated at the GGA-PBE level.

abc: 4.192 11.959 18.310
angles: 90.00 90.00 90.00
Space group Immm (No. 71)
Asymmetric unit:
1 Ce 0.000 0.000 0.228
2 Al 0.000 0.118 0.392
3 Al 0.000 0.171 0.080
4 Al 0.000 0.308 0.203
5 Al 0.000 0.386 0.000
6 Al 0.000 0.500 0.413
7 Pt 0.000 0.000 0.000
8 Pt 0.000 0.251 0.500
9 Pt 0.000 0.315 0.339
10 Pt 0.000 0.500 0.125

---

# 3
Below is CeAl4Si2Rh after structural relaxation, with properties calculated at the GGA-PBE level.

abc: 4.245 4.245 7.907
angles: 90.00 90.00 90.00
Space group P4/mmm (No. 123)
Asymmetric unit:
1 Ce 0.000 0.000 0.000
2 Al 0.000 0.500 0.329
3 Si 0.500 0.500 0.144
4 Rh 0.000 0.000 0.500

---

# 4
Below is Ce2Al3Ru after structural relaxation, with properties calculated at the GGA-PBE level.

abc: 5.5711 5.5711 8.7748
angles: 90.00 90.00 120.00
Space group P6_3/mmc (No. 194)
Asymmetric unit:
1 Ce 0.3333 0.6667 0.0619
2 Al 0.1626 0.3252 0.7500
3 Ru 0.0000 0.0000 0.0000

---

# 5
Below is CeAlRu after structural relaxation, with properties calculated at the GGA-PBE level.

abc: 8.291 5.669 9.646
angles: 90.00 90.00 90.00
Space group Amm2 (No. 38)
Asymmetric unit:
1 Ce 0.169 0.000 0.000
2 Ce 0.289 0.000 0.337
3 Al 0.242 0.000 0.676
4 Al 0.500 0.247 0.086
5 Ru 0.000 0.000 0.508
6 Ru 0.000 0.249 0.258
7 Ru 0.500 0.000 0.843

---

# 6
Below is CeAl10Ru2 after structural relaxation, with properties calculated at the GGA-PBE level.

abc: 9.092 10.327 9.153
angles: 90.00 90.00 90.00
Space group Cmcm (No. 63)
Asymmetric unit:
1 Ce 0.000 0.123 0.250
2 Al 0.000 0.159 0.601
3 Al 0.000 0.377 0.051
4 Al 0.149 0.370 0.750
5 Al 0.225 0.365 0.250
6 Al 0.226 0.000 0.000
7 Ru 0.250 0.250 0.000

---

# 7
Below is Ce2AlRu after structural relaxation, with properties calculated at the GGA-PBE level.

abc: 7.8534 7.8534 9.7060
angles: 90.00 90.00 120.00
Space group P6_3cm (No. 185)
Asymmetric unit:
1 Ce 0.0000 0.2625 0.0000
2 Ce 0.0000 0.4139 0.3265
3 Al 0.0000 0.0000 0.2482
4 Al 0.3333 0.6667 0.0911
5 Ru 0.0000 0.3421 0.6643

---

# 8
Below is CeAlRu after structural relaxation, with properties calculated at the GGA-PBE level.

abc: 7.224 4.071 15.878
angles: 90.00 90.00 90.00
Space group Pnma (No. 62)
Asymmetric unit:
1 Ce 0.044 0.250 0.219
2 Ce 0.168 0.250 0.439
3 Al 0.002 0.750 0.063
4 Al 0.132 0.250 0.651
5 Ru 0.236 0.250 0.066
6 Ru 0.242 0.750 0.317

---

# 9
Below is Ce3AlVS7 after structural relaxation, with properties calculated at the GGA-PBE level.

abc: 10.0178 10.0178 5.9987
angles: 90.00 90.00 120.00
Space group P6_3 (No. 173)
Asymmetric unit:
1 Ce 0.1405 0.3731 0.0000
2 Al 0.3333 0.6667 0.4241
3 V 0.0000 0.0000 0.3028
4 S 0.0863 0.2258 0.5554
5 S 0.0978 0.5818 0.2782
6 S 0.3333 0.6667 0.7929

Properties
energy with MP2020 corrections: -6.880 eV/atom

---

# 10
Below is CeScAl4 after structural relaxation, with properties calculated at the GGA-PBE level.

abc: 7.803 7.803 7.803
angles: 90.00 90.00 90.00
Space group F-43m (No. 216)
Asymmetric unit:
1 Ce 0.000 0.000 0.000
2 Sc 0.250 0.250 0.250
3 Al 0.125 0.125 0.625

---

# 11
Below is CeAlSi after structural relaxation, with properties calculated at the GGA-PBE level.

abc: 4.204 4.204 14.655
angles: 90.00 90.00 90.00
Space group I4_1md (No. 109)
Asymmetric unit:
1 Ce 0.000 0.000 0.000
2 Al 0.000 0.000 0.584
3 Si 0.000 0.000 0.418

Properties
energy with MP2020 corrections: -5.597 eV/atom

---

# 12
Below is Ce2Al3Sn after structural relaxation, with properties calculated at the GGA-PBE level.

abc: 4.160 4.484 7.794
angles: 90.00 90.00 90.00
Space group Pmm2 (No. 25)
Asymmetric unit:
1 Ce 0.000 0.000 0.000
2 Ce 0.000 0.500 0.491
3 Al 0.500 0.000 0.326
4 Al 0.500 0.000 0.648
5 Al 0.500 0.500 0.174
6 Sn 0.500 0.500 0.831

---

# 13
Below is CeTh3Al2 after structural relaxation, with properties calculated at the GGA-PBE level.

abc: 5.500 11.005 10.961
angles: 90.00 90.00 90.00
Space group Fmm2 (No. 42)
Asymmetric unit:
1 Ce 0.000 0.000 0.000
2 Th 0.000 0.000 0.691
3 Th 0.000 0.156 0.344
4 Al 0.250 0.250 0.093

---

# 14
Below is CeU3Al8 after structural relaxation, with properties calculated at the GGA-PBE level.

abc: 5.5116 5.5116 26.9357
angles: 90.00 90.00 120.00
Space group R3m (No. 160, hexagonal axes)
Asymmetric unit:
1 Ce 0.0000 0.0000 0.0000
2 U 0.0000 0.0000 0.1288
3 U 0.0000 0.0000 0.5020
4 U 0.0000 0.0000 0.6224
5 Al 0.0000 0.0000 0.3129
6 Al 0.0000 0.0000 0.8133
7 Al 0.0003 0.5001 0.0641
8 Al 0.1672 0.3344 0.8960

---

# 15
Below is Ce3UAl8 after structural relaxation, with properties calculated at the GGA-PBE level.

abc: 5.5671 5.5671 27.3287
angles: 90.00 90.00 120.00
Space group R3m (No. 160, hexagonal axes)
Asymmetric unit:
1 Ce 0.0000 0.0000 0.0000
2 Ce 0.0000 0.0000 0.1281
3 Ce 0.0000 0.0000 0.5065
4 U 0.0000 0.0000 0.6278
5 Al 0.0000 0.0000 0.3153
6 Al 0.0000 0.0000 0.8155
7 Al 0.1671 0.3343 0.3982
8 Al 0.1670 0.3340 0.8993

---

# 16
Below is CeYAl4 after structural relaxation, with properties calculated at the GGA-PBE level.

abc: 7.960 7.960 7.960
angles: 90.00 90.00 90.00
Space group F-43m (No. 216)
Asymmetric unit:
1 Ce 0.000 0.000 0.000
2 Y 0.250 0.250 0.250
3 Al 0.126 0.126 0.626

---

# 17
Below is AlCl3 after structural relaxation, with properties calculated at the GGA-PBE level.

abc: 3.6647 3.6647 7.0730
angles: 90.00 90.00 120.00
Space group P-3m1 (No. 164)
Asymmetric unit:
1 Al 0.0000 0.0000 0.0000
2 Cl 0.0000 0.0000 0.5000
3 Cl 0.3333 0.6667 0.8231

Properties
energy with MP2020 corrections: -3.379 eV/atom

---

# 18
Below is AlCl3 after structural relaxation, with properties calculated at the GGA-PBE level.

abc: 6.027 10.433 6.653
angles: 90.00 107.11 90.00
Space group C2/m (No. 12)
Asymmetric unit:
1 Al 0.000 0.167 0.000
2 Cl 0.205 0.000 0.211
3 Cl 0.250 0.182 0.790

Properties
energy with MP2020 corrections: -4.289 eV/atom

---

no.,energy of formation (eV/atom)
1,-0.98
2,-1.00
3,-0.62
4,-0.53
5,-0.48
6,-0.52
7,-0.50
8,-0.60
9,-1.91
10,-0.42
11,-0.56
12,-0.42
13,-0.20
14,-0.22
15,-0.37
16,-0.47
17,-1.06
18,-1.97